{"formula": "K2P2H2O7", "functional": "PBE-GGA", "state": "relaxed", "e_tot_ev_per_atom": -5.718, "space_group": "No. 2", "delta_e_f_mev_per_atom": -1898, "total_magnetization_mub_per_fu": 0.0, "e_above_lowest_polymorph_ev_per_atom": 0.455, "lattice_angstrom": [[7.7822, 0.0000, 0.0000], [-3.3257, 8.4173, 0.0000], [-1.3021, -2.6471, 6.6302]], "species": ["O", "O", "O", "O", "O", "O", "O", "O", "O", "O", "O", "O", "O", "O", "P", "P", "P", "P", "K", "K", "K", "K", "H", "H", "H", "H"], "frac_coords": [[0.8280, 0.0484, 0.5750], [0.2807, 0.9901, 0.1229], [0.8493, 0.3429, 0.6589], [0.5962, 0.2386, 0.8363], [0.2859, 0.3950, 0.0629], [0.5003, 0.2038, 0.4605], [0.4997, 0.7962, 0.5395], [0.1507, 0.6571, 0.3411], [0.6251, 0.4911, 0.7187], [0.7141, 0.6050, 0.9371], [0.3749, 0.5089, 0.2813], [0.7193, 0.0099, 0.8771], [0.1720, 0.9516, 0.4250], [0.4038, 0.7614, 0.1637], [0.2480, 0.0882, 0.3296], [0.7520, 0.9118, 0.6704], [0.3561, 0.6839, 0.3185], [0.6439, 0.3161, 0.6815], [0.3015, 0.5416, 0.7791], [0.7837, 0.9026, 0.1760], [0.2162, 0.0974, 0.8240], [0.6985, 0.4584, 0.2209], [0.6732, 0.0994, 0.8635], [0.1518, 0.7819, 0.3755], [0.3268, 0.9006, 0.1365], [0.8482, 0.2181, 0.6245]]}

***

{"formula": "Al3Pd5", "functional": "PBE-GGA", "state": "relaxed", "e_tot_ev_per_atom": -5.494, "space_group": "No. 55", "delta_e_f_mev_per_atom": -852, "lattice_angstrom": [[-3.9785, 0.6713, 0.5705], [-1.0639, -2.1503, -4.8893], [-0.9864, -9.6262, 4.4482]], "species": ["Al", "Al", "Al", "Al", "Al", "Al", "Pd", "Pd", "Pd", "Pd", "Pd", "Pd", "Pd", "Pd", "Pd", "Pd"], "frac_coords": [[0.5000, 0.1609, 0.3569], [0.0000, 0.0000, 0.0000], [0.5000, 0.8391, 0.6431], [0.5000, 0.3391, 0.8569], [0.5000, 0.6609, 0.1431], [0.0000, 0.5000, 0.5000], [0.5000, 0.8133, 0.8945], [0.0000, 0.5000, 0.0000], [0.0000, 0.4036, 0.2678], [0.0000, 0.0964, 0.7678], [0.5000, 0.1867, 0.1055], [0.5000, 0.3133, 0.6055], [0.0000, 0.9036, 0.2322], [0.0000, 0.5964, 0.7322], [0.0000, 0.0000, 0.5000], [0.5000, 0.6867, 0.3945]]}

***

{"formula": "BIrO3", "functional": "PBE-GGA", "state": "relaxed", "e_tot_ev_per_atom": -5.954, "space_group": "No. 221", "delta_e_f_mev_per_atom": -294, "total_magnetization_mub_per_fu": 0.0, "lattice_angstrom": [[-2.1792, -0.7651, -2.5164], [-1.2282, -2.5938, 1.8522], [-2.3258, 2.0866, 1.3797]], "species": ["O", "O", "O", "Ir", "B"], "frac_coords": [[0.5000, 0.5000, 0.0000], [0.0000, 0.5000, 0.5000], [0.5000, 0.0000, 0.5000], [0.0000, 0.0000, 0.0000], [0.5000, 0.5000, 0.5000]]}

***

{"formula": "Tm2InCu2", "functional": "PBE-GGA", "state": "relaxed", "e_tot_ev_per_atom": -4.375, "space_group": "No. 127", "delta_e_f_mev_per_atom": -395, "lattice_angstrom": [[-5.9573, -3.7877, 2.7244], [4.0420, -6.3967, -0.0547], [1.1007, 0.6670, 3.3343]], "species": ["Tm", "Tm", "Tm", "Tm", "Cu", "Cu", "Cu", "Cu", "In", "In"], "frac_coords": [[0.3284, 0.8284, 0.5000], [0.6716, 0.1716, 0.5000], [0.8284, 0.6716, 0.5000], [0.1716, 0.3284, 0.5000], [0.8786, 0.3786, 0.0000], [0.3786, 0.1214, 0.0000], [0.1214, 0.6214, 0.0000], [0.6214, 0.8786, 0.0000], [0.5000, 0.5000, 0.0000], [0.0000, 0.0000, 0.0000]]}

***

{"formula": "HfTaFe4", "functional": "PBE-GGA", "state": "relaxed", "e_tot_ev_per_atom": -9.537, "space_group": "No. 164", "delta_e_f_mev_per_atom": -255, "total_magnetization_mub_per_fu": 5.4, "lattice_angstrom": [[-2.1288, 4.3028, -0.7908], [-2.0905, -4.0830, -1.6218], [-3.9563, -0.6975, 6.8557]], "species": ["Hf", "Hf", "Fe", "Fe", "Fe", "Fe", "Fe", "Fe", "Fe", "Fe", "Ta", "Ta"], "frac_coords": [[0.3333, 0.6667, 0.5654], [0.6667, 0.3333, 0.4346], [0.6636, 0.8318, 0.2453], [0.0000, 0.0000, 0.0000], [0.1682, 0.3364, 0.2453], [0.8318, 0.6636, 0.7547], [0.8318, 0.1682, 0.7547], [0.0000, 0.0000, 0.5000], [0.1682, 0.8318, 0.2453], [0.3364, 0.1682, 0.7547], [0.3333, 0.6667, 0.9411], [0.6667, 0.3333, 0.0589]]}

***

{"formula": "Nd2Ga9Co3", "functional": "PBE-GGA", "state": "relaxed", "e_tot_ev_per_atom": -4.620, "space_group": "No. 63", "delta_e_f_mev_per_atom": -469, "lattice_angstrom": [[-1.1115, 3.1026, -6.6770], [-5.2699, -4.3293, 2.9882], [-3.8911, 7.6313, 4.1939]], "species": ["Ga", "Ga", "Ga", "Ga", "Ga", "Ga", "Ga", "Ga", "Ga", "Ga", "Ga", "Ga", "Ga", "Ga", "Ga", "Ga", "Ga", "Ga", "Nd", "Nd", "Nd", "Nd", "Co", "Co", "Co", "Co", "Co", "Co"], "frac_coords": [[0.3340, 0.0017, 0.9285], [0.4522, 0.6647, 0.2500], [0.6639, 0.6639, 0.9443], [0.9983, 0.6660, 0.0715], [0.6647, 0.4522, 0.2500], [0.3340, 0.0017, 0.5715], [0.8768, 0.8768, 0.2500], [0.3361, 0.3361, 0.0557], [0.3353, 0.5478, 0.7500], [0.3361, 0.3361, 0.4443], [0.0017, 0.3340, 0.5715], [0.6639, 0.6639, 0.5557], [0.5478, 0.3353, 0.7500], [0.1232, 0.1232, 0.7500], [0.6660, 0.9983, 0.0715], [0.0017, 0.3340, 0.9285], [0.9983, 0.6660, 0.4285], [0.6660, 0.9983, 0.4285], [0.3318, 0.0033, 0.2500], [0.6682, 0.9967, 0.7500], [0.0033, 0.3318, 0.2500], [0.9967, 0.6682, 0.7500], [0.0000, 0.0000, 0.5000], [0.0000, 0.0000, 0.0000], [0.6710, 0.3290, 0.5000], [0.6710, 0.3290, 0.0000], [0.3290, 0.6710, 0.0000], [0.3290, 0.6710, 0.5000]]}

***

{"formula": "Sr2CuBr2O2", "functional": "PBE-GGA", "state": "relaxed", "e_tot_ev_per_atom": -4.888, "space_group": "No. 139", "delta_e_f_mev_per_atom": -2135, "total_magnetization_mub_per_fu": 0.0, "e_above_lowest_polymorph_ev_per_atom": 0.000, "lattice_angstrom": [[-7.1159, 3.7627, 5.7261], [-8.6374, 4.7784, 0.3822], [6.5074, -6.7393, -3.1336]], "species": ["O", "O", "Br", "Br", "Cu", "Sr", "Sr"], "frac_coords": [[0.5000, 0.0000, 0.5000], [0.0000, 0.5000, 0.5000], [0.1679, 0.1679, 0.0000], [0.8321, 0.8321, 0.0000], [0.0000, 0.0000, 0.0000], [0.5899, 0.5899, 0.0000], [0.4101, 0.4101, 0.0000]]}

***

{"formula": "Tb2H16S3O20", "functional": "PBE-GGA", "state": "relaxed", "e_tot_ev_per_atom": -5.774, "space_group": "No. 15", "delta_e_f_mev_per_atom": -1842, "total_magnetization_mub_per_fu": 0.0, "lattice_angstrom": [[3.3829, 6.7617, 0.0000], [-3.3829, 6.7617, 0.0000], [0.0000, 3.9883, 17.9541]], "species": ["H", "H", "H", "H", "H", "H", "H", "H", "H", "H", "H", "H", "H", "H", "H", "H", "H", "H", "H", "H", "H", "H", "H", "H", "H", "H", "H", "H", "H", "H", "H", "H", "O", "O", "O", "O", "O", "O", "O", "O", "O", "O", "O", "O", "O", "O", "O", "O", "O", "O", "O", "O", "O", "O", "O", "O", "O", "O", "O", "O", "O", "O", "O", "O", "O", "O", "O", "O", "O", "O", "O", "O", "S", "S", "S", "S", "S", "S", "Tb", "Tb", "Tb", "Tb"], "frac_coords": [[0.5367, 0.7093, 0.4916], [0.7882, 0.4986, 0.4828], [0.4986, 0.7882, 0.9828], [0.6818, 0.3342, 0.1064], [0.1628, 0.8116, 0.5456], [0.2132, 0.2390, 0.2552], [0.8116, 0.1628, 0.0456], [0.2118, 0.5014, 0.5172], [0.2390, 0.2132, 0.7552], [0.6658, 0.3182, 0.3936], [0.4633, 0.2907, 0.5084], [0.9570, 0.1512, 0.8503], [0.3182, 0.6658, 0.8936], [0.7868, 0.7610, 0.7448], [0.2907, 0.4633, 0.0084], [0.1884, 0.8372, 0.9544], [0.8488, 0.0430, 0.6497], [0.7108, 0.3015, 0.6609], [0.7610, 0.7868, 0.2448], [0.2820, 0.3750, 0.6975], [0.2892, 0.6985, 0.3391], [0.1512, 0.9570, 0.3503], [0.8372, 0.1884, 0.4544], [0.7093, 0.5367, 0.9916], [0.5014, 0.2118, 0.0172], [0.3015, 0.7108, 0.1609], [0.6250, 0.7180, 0.8025], [0.7180, 0.6250, 0.3025], [0.0430, 0.8488, 0.1497], [0.3342, 0.6818, 0.6064], [0.3750, 0.2820, 0.1975], [0.6985, 0.2892, 0.8391], [0.7585, 0.7291, 0.2980], [0.2709, 0.2415, 0.2020], [0.1300, 0.1950, 0.3486], [0.2828, 0.8014, 0.5641], [0.5825, 0.4852, 0.3071], [0.5148, 0.4175, 0.1929], [0.7158, 0.1133, 0.2874], [0.4175, 0.5148, 0.6929], [0.4295, 0.0896, 0.4183], [0.1723, 0.8564, 0.1425], [0.7782, 0.9343, 0.0177], [0.5231, 0.8762, 0.1032], [0.4852, 0.5825, 0.8071], [0.5705, 0.9104, 0.5817], [0.2415, 0.2709, 0.7020], [0.3257, 0.3588, 0.5428], [0.8277, 0.1436, 0.8575], [0.1950, 0.1300, 0.8486], [0.3588, 0.3257, 0.0428], [0.9343, 0.7782, 0.5177], [0.0657, 0.2218, 0.4823], [0.6412, 0.6743, 0.9572], [0.8867, 0.2842, 0.2126], [0.2842, 0.8867, 0.7126], [0.2218, 0.0657, 0.9823], [0.7172, 0.1986, 0.4359], [0.9104, 0.5705, 0.0817], [0.6743, 0.6412, 0.4572], [0.1238, 0.4769, 0.3968], [0.7291, 0.7585, 0.7980], [0.8014, 0.2828, 0.0641], [0.4769, 0.1238, 0.8968], [0.8700, 0.8050, 0.6514], [0.8762, 0.5231, 0.6032], [0.1436, 0.8277, 0.3575], [0.1133, 0.7158, 0.7874], [0.0896, 0.4295, 0.9183], [0.8050, 0.8700, 0.1514], [0.8564, 0.1723, 0.6425], [0.1986, 0.7172, 0.9359], [0.2459, 0.1893, 0.9097], [0.3257, 0.6743, 0.7500], [0.1893, 0.2459, 0.4097], [0.8107, 0.7541, 0.5903], [0.6743, 0.3257, 0.2500], [0.7541, 0.8107, 0.0903], [0.8115, 0.8535, 0.3925], [0.1885, 0.1465, 0.6075], [0.1465, 0.1885, 0.1075], [0.8535, 0.8115, 0.8925]]}

***

{"formula": "Na3InSi3Ge3S3O24", "functional": "PBE-GGA", "state": "relaxed", "e_tot_ev_per_atom": -6.313, "space_group": "No. 1", "delta_e_f_mev_per_atom": -2218, "total_magnetization_mub_per_fu": 0.0, "lattice_angstrom": [[8.6358, -0.0343, -0.0502], [-4.3473, 7.5608, 0.0580], [-0.1295, 0.0980, 22.2286]], "species": ["O", "O", "O", "O", "O", "O", "O", "O", "O", "O", "O", "O", "O", "O", "O", "O", "O", "O", "O", "O", "O", "O", "O", "O", "O", "O", "O", "O", "O", "O", "O", "O", "O", "O", "O", "O", "O", "O", "O", "O", "O", "O", "O", "O", "O", "O", "O", "O", "O", "O", "O", "O", "O", "O", "O", "O", "O", "O", "O", "O", "O", "O", "O", "O", "O", "O", "O", "O", "O", "O", "O", "O", "Na", "Na", "Na", "Na", "Na", "Na", "Na", "Na", "Na", "Si", "Si", "Si", "Si", "Si", "Si", "Si", "Si", "Si", "S", "S", "S", "S", "S", "S", "S", "S", "S", "In", "In", "In", "Ge", "Ge", "Ge", "Ge", "Ge", "Ge", "Ge", "Ge", "Ge"], "frac_coords": [[0.4778, 0.3093, 0.7494], [0.8258, 0.3167, 0.2468], [0.9212, 0.5235, 0.1407], [0.0273, 0.8177, 0.4126], [0.2918, 0.4637, 0.4734], [0.1623, 0.5148, 0.5720], [0.4969, 0.6404, 0.8542], [0.8383, 0.5314, 0.7485], [0.5013, 0.1354, 0.9217], [0.7906, 0.9638, 0.6968], [0.1764, 0.1845, 0.4176], [0.5076, 0.8277, 0.4793], [0.2107, 0.0169, 0.3040], [0.8010, 0.9662, 0.4195], [0.3576, 0.5133, 0.0723], [0.6714, 0.5299, 0.2468], [0.6994, 0.1564, 0.0268], [0.4504, 0.1520, 0.5280], [0.5285, 0.7053, 0.2534], [0.3496, 0.8579, 0.5746], [0.6384, 0.4948, 0.9210], [0.1720, 0.6685, 0.0652], [0.8581, 0.3529, 0.9233], [0.6277, 0.1011, 0.1357], [0.1822, 0.1621, 0.8143], [0.1548, 0.6914, 0.4730], [0.8233, 0.0247, 0.8069], [0.0374, 0.8465, 0.6891], [0.9764, 0.1979, 0.3139], [0.8400, 0.5492, 0.0226], [0.3617, 0.8750, 0.8618], [0.6326, 0.1438, 0.4223], [0.6929, 0.5417, 0.5304], [0.8304, 0.8090, 0.5871], [0.1917, 0.4966, 0.2575], [0.4824, 0.8562, 0.3568], [0.9783, 0.1489, 0.5892], [0.4619, 0.2903, 0.0253], [0.1547, 0.4585, 0.9704], [0.1748, 0.1604, 0.0860], [0.1735, 0.9762, 0.9121], [0.0265, 0.1998, 0.9112], [0.1769, 0.9611, 0.1943], [0.6911, 0.1507, 0.7483], [0.1229, 0.6268, 0.3629], [0.5357, 0.3765, 0.4307], [0.4755, 0.3689, 0.1466], [0.1896, 0.0191, 0.5857], [0.4652, 0.1517, 0.2442], [0.9760, 0.8295, 0.0927], [0.4747, 0.1095, 0.6371], [0.0434, 0.1973, 0.1933], [0.9597, 0.7998, 0.8090], [0.3051, 0.8283, 0.2544], [0.8233, 0.8544, 0.9085], [0.1642, 0.2109, 0.6921], [0.8120, 0.7832, 0.3050], [0.5067, 0.8599, 0.0722], [0.3048, 0.4840, 0.7589], [0.8350, 0.3001, 0.5201], [0.5060, 0.6524, 0.5754], [0.8912, 0.3747, 0.6405], [0.5359, 0.8312, 0.7565], [0.1136, 0.4870, 0.8614], [0.7930, 0.8203, 0.1953], [0.3044, 0.8460, 0.9706], [0.6291, 0.5295, 0.6389], [0.8685, 0.4979, 0.4229], [0.8275, 0.0194, 0.0868], [0.3812, 0.4944, 0.3561], [0.1964, 0.7126, 0.7614], [0.5267, 0.7050, 0.9732], [0.3075, 0.6526, 0.6660], [0.3181, 0.6628, 0.1630], [0.6662, 0.3345, 0.8339], [0.3595, 0.3590, 0.2457], [0.9965, 0.0003, 0.5004], [0.0000, 0.9960, 0.0006], [0.9665, 0.2881, 0.4164], [0.6332, 0.6249, 0.7538], [0.6708, 0.3255, 0.3322], [0.0140, 0.7256, 0.7505], [0.6205, 0.6768, 0.9151], [0.9991, 0.2962, 0.2506], [0.9639, 0.3330, 0.5814], [0.3496, 0.3798, 0.4195], [0.3739, 0.3371, 0.0831], [0.9754, 0.6419, 0.0812], [0.2786, 0.2815, 0.7546], [0.6022, 0.9389, 0.4188], [0.3389, 0.9571, 0.9162], [0.6664, 0.0402, 0.0795], [0.7142, 0.9959, 0.7521], [0.0472, 0.6616, 0.4181], [0.7082, 0.7140, 0.2496], [0.3687, 0.0330, 0.5821], [0.6687, 0.6313, 0.5815], [0.0388, 0.3737, 0.9176], [0.2888, 0.9886, 0.2498], [0.9947, 0.0034, 0.3563], [0.6866, 0.3467, 0.1778], [0.6765, 0.3391, 0.6868], [0.3399, 0.6551, 0.3167], [0.3159, 0.6438, 0.8127], [0.3315, 0.6457, 0.5171], [0.6538, 0.3015, 0.4787], [0.0190, 0.0179, 0.1418], [0.0196, 0.0230, 0.6493], [0.0003, 0.9819, 0.8527], [0.6611, 0.3748, 0.9841], [0.3411, 0.6631, 0.0206]]}

***

{"formula": "RbTiP2O7", "functional": "PBE-GGA", "state": "relaxed", "e_tot_ev_per_atom": -7.381, "space_group": "No. 14", "delta_e_f_mev_per_atom": -2878, "total_magnetization_mub_per_fu": 1.0, "lattice_angstrom": [[-3.8038, 9.5635, -1.7063], [-6.9469, -2.9910, -1.2774], [-3.8036, -0.1850, 7.4423]], "species": ["O", "O", "O", "O", "O", "O", "O", "O", "O", "O", "O", "O", "O", "O", "O", "O", "O", "O", "O", "O", "O", "O", "O", "O", "O", "O", "O", "O", "Ti", "Ti", "Ti", "Ti", "P", "P", "P", "P", "P", "P", "P", "P", "Rb", "Rb", "Rb", "Rb"], "frac_coords": [[0.4107, 0.8459, 0.0148], [0.7767, 0.4453, 0.2668], [0.2767, 0.5547, 0.2332], [0.5757, 0.6246, 0.2715], [0.0757, 0.3754, 0.2285], [0.6077, 0.3241, 0.4933], [0.5893, 0.1541, 0.9852], [0.9994, 0.0024, 0.2290], [0.0591, 0.6720, 0.3024], [0.5006, 0.0024, 0.7290], [0.9243, 0.6246, 0.7715], [0.7664, 0.0838, 0.7391], [0.0006, 0.9976, 0.7710], [0.7233, 0.4453, 0.7668], [0.0893, 0.8459, 0.5148], [0.2664, 0.9162, 0.7609], [0.4409, 0.6720, 0.8024], [0.4243, 0.3754, 0.7285], [0.3923, 0.6759, 0.5067], [0.5591, 0.3280, 0.1976], [0.9107, 0.1541, 0.4852], [0.7336, 0.0838, 0.2391], [0.9409, 0.3280, 0.6976], [0.4994, 0.9976, 0.2710], [0.1077, 0.6759, 0.0067], [0.8923, 0.3241, 0.9933], [0.2336, 0.9162, 0.2609], [0.2233, 0.5547, 0.7332], [0.3984, 0.7623, 0.2588], [0.1016, 0.7623, 0.7588], [0.8984, 0.2377, 0.2412], [0.6016, 0.2377, 0.7412], [0.0975, 0.8683, 0.3283], [0.6344, 0.4356, 0.3138], [0.8656, 0.4356, 0.8138], [0.5975, 0.1317, 0.1717], [0.1344, 0.5644, 0.1862], [0.4025, 0.8683, 0.8283], [0.3656, 0.5644, 0.6862], [0.9025, 0.1317, 0.6717], [0.6828, 0.8107, 0.5554], [0.3172, 0.1893, 0.4446], [0.8172, 0.8107, 0.0554], [0.1828, 0.1893, 0.9446]]}

***

{"formula": "Ta2CrOs", "functional": "PBE-GGA", "state": "relaxed", "e_tot_ev_per_atom": -11.457, "space_group": "No. 225", "delta_e_f_mev_per_atom": -308, "lattice_angstrom": [[4.0084, -1.4005, -1.3343], [1.6681, -3.8092, 1.5864], [0.3448, -3.5551, -2.6555]], "species": ["Ta", "Ta", "Cr", "Os"], "frac_coords": [[0.2500, 0.2500, 0.2500], [0.7500, 0.7500, 0.7500], [0.5000, 0.5000, 0.5000], [0.0000, 0.0000, 0.0000]]}